# 1
! CaB2H2 PBE optimized geometry; values from VASP
! Energy relative to the lowest polymorph listed for this composition, eV/atom: 0.000
&SYSTEM
  ibrav = 0, nat = 10, ntyp = 3
/
ATOMIC_SPECIES
B 10.81 B.upf
Ca 40.08 Ca.upf
H 1.01 H.upf
ATOMIC_POSITIONS crystal
B 0.4069 0.5931 0.7692
B 0.8715 0.1285 0.7017
B 0.5931 0.4069 0.2692
B 0.1285 0.8715 0.2017
Ca 0.1516 0.8484 0.5558
Ca 0.8484 0.1516 0.0558
H 0.8255 0.1745 0.5473
H 0.5263 0.4737 0.4112
H 0.1745 0.8255 0.0473
H 0.4737 0.5263 0.9112
CELL_PARAMETERS angstrom
1.7900 0.2365 4.3007
-3.3030 -2.2948 -2.3622
5.1456 -5.5138 -1.8384

=====

# 2
! MnB2H8 PBE optimized geometry; values from VASP
! Energy relative to the lowest polymorph listed for this composition, eV/atom: 0.001
&SYSTEM
  ibrav = 0, nat = 22, ntyp = 3
/
ATOMIC_SPECIES
H 1.01 H.upf
Mn 54.94 Mn.upf
B 10.81 B.upf
ATOMIC_POSITIONS crystal
H 0.5343 0.7191 0.2862
H 0.6397 0.1751 0.9132
H 0.1751 0.3603 0.0868
H 0.7809 0.9657 0.2138
H 0.3603 0.8249 0.9132
H 0.0343 0.7809 0.7862
H 0.4657 0.2809 0.2862
H 0.8603 0.6751 0.4132
H 0.1397 0.3249 0.4132
H 0.6751 0.1397 0.5868
H 0.9657 0.2191 0.7862
H 0.2809 0.5343 0.7138
H 0.2191 0.0343 0.2138
H 0.8249 0.6397 0.0868
H 0.7191 0.4657 0.7138
H 0.3249 0.8603 0.5868
Mn 0.0000 0.0000 0.5000
Mn 0.5000 0.5000 0.0000
B 0.2484 0.7484 0.7500
B 0.2516 0.2484 0.2500
B 0.7484 0.7516 0.2500
B 0.7516 0.2516 0.7500
CELL_PARAMETERS angstrom
5.5999 0.0000 0.0000
0.0000 5.5999 0.0000
0.0000 0.0000 5.9529

=====

# 3
PrHo: optimized geometry, PBE. Values from VASP.

Quantum ESPRESSO input file:
```
&SYSTEM
  ibrav = 0, nat = 2, ntyp = 2
/
ATOMIC_SPECIES
Pr 140.91 Pr.upf
Ho 164.93 Ho.upf
ATOMIC_POSITIONS crystal
Pr 0.0000 0.0000 0.0000
Ho 0.3333 0.6667 0.5000
CELL_PARAMETERS angstrom
0.0500 3.5711 -0.7238
-1.6876 -1.2304 2.9861
5.0355 0.5524 3.0734
```

=====

# 4
Li5Cu2Ge2: optimized geometry, PBE. Values from VASP.

Quantum ESPRESSO input file:
```
&SYSTEM
  ibrav = 0, nat = 9, ntyp = 3
/
ATOMIC_SPECIES
Li 6.94 Li.upf
Ge 72.64 Ge.upf
Cu 63.55 Cu.upf
ATOMIC_POSITIONS crystal
Li 0.3333 0.6667 0.4313
Li 0.3333 0.6667 0.1141
Li 0.6667 0.3333 0.5687
Li 0.6667 0.3333 0.8859
Li 0.0000 0.0000 0.0000
Ge 0.6667 0.3333 0.2411
Ge 0.3333 0.6667 0.7589
Cu 0.0000 0.0000 0.3081
Cu 0.0000 0.0000 0.6919
CELL_PARAMETERS angstrom
-2.6823 2.9176 -1.4726
-0.3665 -1.3943 3.9746
4.9662 5.8287 2.5027
```

=====

# 5
! Mg6Si5 PBE optimized geometry; values from VASP
! Energy relative to the lowest polymorph listed for this composition, eV/atom: 0.085
&SYSTEM
  ibrav = 0, nat = 22, ntyp = 2
/
ATOMIC_SPECIES
Mg 24.30 Mg.upf
Si 28.09 Si.upf
ATOMIC_POSITIONS crystal
Mg 0.3282 0.8202 0.6451
Mg 0.5716 0.9680 0.1138
Mg 0.1975 0.3853 0.5770
Mg 0.6242 0.9339 0.8833
Mg 0.1515 0.1451 0.7827
Mg 0.7181 0.6749 0.4932
Mg 0.9458 0.6994 0.0276
Mg 0.1353 0.4800 0.3498
Mg 0.2029 0.9773 0.4186
Mg 0.7463 0.3990 0.8637
Mg 0.1145 0.1981 0.0148
Mg 0.5215 0.4922 0.1682
Si 0.7955 0.5709 0.6774
Si 0.3393 0.5552 0.9404
Si 0.0611 0.7494 0.8172
Si 0.6248 0.7943 0.3072
Si 0.6556 0.2931 0.4478
Si 0.6472 0.1536 0.2926
Si 0.1223 0.1617 0.2138
Si 0.0653 0.7897 0.2169
Si 0.7912 0.0447 0.5599
Si 0.6438 0.2176 0.6926
CELL_PARAMETERS angstrom
4.5062 0.0000 0.0000
-0.9924 -6.8308 0.0000
-1.6598 0.1058 -14.0977

=====

# 6
Sr2SnS5: optimized geometry, PBE. Values from VASP.

Quantum ESPRESSO input file:
```
&SYSTEM
  ibrav = 0, nat = 32, ntyp = 3
/
ATOMIC_SPECIES
S 32.06 S.upf
Sn 118.71 Sn.upf
Sr 87.62 Sr.upf
ATOMIC_POSITIONS crystal
S 0.5092 0.9505 0.8961
S 0.0044 0.3874 0.7743
S 0.5329 0.2486 0.9323
S 0.7682 0.5000 0.5000
S 0.2318 0.0000 0.0000
S 0.5210 0.3651 0.1780
S 0.8851 0.0000 0.5000
S 0.5210 0.6349 0.8220
S 0.4671 0.7486 0.5677
S 0.5092 0.0495 0.1039
S 0.4908 0.5495 0.3961
S 0.4790 0.1349 0.6780
S 0.9956 0.8874 0.7257
S 0.5329 0.7514 0.0677
S 0.1149 0.5000 0.0000
S 0.4790 0.8651 0.3220
S 0.4908 0.4505 0.6039
S 0.4671 0.2514 0.4323
S 0.0044 0.6126 0.2257
S 0.9956 0.1126 0.2743
Sn 0.4644 0.5632 0.1299
Sn 0.5356 0.9368 0.6299
Sn 0.5356 0.0632 0.3701
Sn 0.4644 0.4368 0.8701
Sr 0.9924 0.6236 0.6786
Sr 0.0076 0.8764 0.1786
Sr 0.9744 0.2525 0.5717
Sr 0.0076 0.1236 0.8214
Sr 0.9744 0.7475 0.4283
Sr 0.0256 0.2475 0.0717
Sr 0.9924 0.3764 0.3214
Sr 0.0256 0.7525 0.9283
CELL_PARAMETERS angstrom
0.0000 0.0000 4.1074
11.8701 0.0000 0.0000
0.0000 15.8942 0.0000
```

=====

# 7
CeNiSnH2: optimized geometry, PBE. Values from VASP.

Quantum ESPRESSO input file:
```
&SYSTEM
  ibrav = 0, nat = 10, ntyp = 4
/
ATOMIC_SPECIES
Ce 140.12 Ce.upf
H 1.01 H.upf
Ni 58.69 Ni.upf
Sn 118.71 Sn.upf
ATOMIC_POSITIONS crystal
Ce 0.0000 0.0000 0.5000
Ce 0.0000 0.0000 0.0000
H 0.3333 0.6667 0.4434
H 0.3333 0.6667 0.0566
H 0.6667 0.3333 0.9434
H 0.6667 0.3333 0.5566
Ni 0.6667 0.3333 0.7500
Ni 0.3333 0.6667 0.2500
Sn 0.6667 0.3333 0.2500
Sn 0.3333 0.6667 0.7500
CELL_PARAMETERS angstrom
-3.8298 -0.4638 2.0521
3.5779 -1.9437 1.5858
1.6454 6.7858 4.6046
```

=====

# 8
Na3Sb: optimized geometry, PBE. Values from VASP.

Quantum ESPRESSO input file:
```
&SYSTEM
  ibrav = 0, nat = 8, ntyp = 2
/
ATOMIC_SPECIES
Na 22.99 Na.upf
Sb 121.76 Sb.upf
ATOMIC_POSITIONS crystal
Na 0.6667 0.3333 0.9174
Na 0.3333 0.6667 0.0826
Na 0.3333 0.6667 0.4174
Na 0.6667 0.3333 0.5826
Na 0.0000 0.0000 0.2500
Na 0.0000 0.0000 0.7500
Sb 0.6667 0.3333 0.2500
Sb 0.3333 0.6667 0.7500
CELL_PARAMETERS angstrom
-2.6880 -4.6557 0.0000
-2.6880 4.6557 0.0000
0.0000 0.0000 -9.5605
```

=====

# 9
Li4UC3O11: optimized geometry, PBE. Values from VASP.

Quantum ESPRESSO input file:
```
&SYSTEM
  ibrav = 0, nat = 76, ntyp = 4
/
ATOMIC_SPECIES
O 16.00 O.upf
Li 6.94 Li.upf
C 12.01 C.upf
U 238.03 U.upf
ATOMIC_POSITIONS crystal
O 0.6667 0.3333 0.9816
O 0.8648 0.2285 0.1403
O 0.5550 0.9657 0.3800
O 0.9657 0.4107 0.6200
O 0.0555 0.2145 0.6220
O 0.3637 0.1352 0.1403
O 0.3333 0.6667 0.5184
O 0.9445 0.1590 0.8780
O 0.6667 0.3333 0.2790
O 0.3333 0.6667 0.0184
O 0.0343 0.5893 0.3800
O 0.5893 0.0343 0.1200
O 0.5550 0.5893 0.8800
O 0.5893 0.5550 0.6200
O 0.0343 0.4450 0.8800
O 0.1590 0.9445 0.6220
O 0.7855 0.9445 0.1220
O 0.9445 0.7855 0.3780
O 0.7715 0.1352 0.6403
O 0.1352 0.3637 0.3597
O 0.0555 0.8410 0.1220
O 0.7855 0.8410 0.6220
O 0.3333 0.6667 0.7210
O 0.1590 0.2145 0.1220
O 0.6667 0.3333 0.7790
O 0.3637 0.2285 0.6403
O 0.4450 0.4107 0.1200
O 0.1352 0.7715 0.8597
O 0.8410 0.7855 0.8780
O 0.3333 0.6667 0.2210
O 0.6363 0.7715 0.3597
O 0.6667 0.3333 0.4816
O 0.7715 0.6363 0.1403
O 0.9657 0.5550 0.1200
O 0.8410 0.0555 0.3780
O 0.2285 0.8648 0.3597
O 0.6363 0.8648 0.8597
O 0.4450 0.0343 0.6200
O 0.2145 0.1590 0.3780
O 0.4107 0.9657 0.8800
O 0.2145 0.0555 0.8780
O 0.4107 0.4450 0.3800
O 0.8648 0.6363 0.6403
O 0.2285 0.3637 0.8597
Li 0.6892 0.5663 0.3733
Li 0.0000 0.0000 0.2500
Li 0.1229 0.4337 0.1267
Li 0.0000 0.0000 0.5000
Li 0.6892 0.1229 0.8733
Li 0.3108 0.8771 0.1267
Li 0.5663 0.6892 0.1267
Li 0.1229 0.6892 0.6267
Li 0.8771 0.3108 0.3733
Li 0.4337 0.1229 0.3733
Li 0.5663 0.8771 0.6267
Li 0.0000 0.0000 0.0000
Li 0.0000 0.0000 0.7500
Li 0.3108 0.4337 0.6267
Li 0.4337 0.3108 0.8733
Li 0.8771 0.5663 0.8733
C 0.0645 0.7486 0.3727
C 0.2514 0.3159 0.3727
C 0.9355 0.2514 0.6273
C 0.6841 0.9355 0.3727
C 0.9355 0.6841 0.1273
C 0.3159 0.0645 0.6273
C 0.6841 0.7486 0.8727
C 0.0645 0.3159 0.8727
C 0.2514 0.9355 0.8727
C 0.7486 0.0645 0.1273
C 0.7486 0.6841 0.6273
C 0.3159 0.2514 0.1273
U 0.3333 0.6667 0.3702
U 0.6667 0.3333 0.1298
U 0.3333 0.6667 0.8702
U 0.6667 0.3333 0.6298
CELL_PARAMETERS angstrom
4.4590 -7.7231 0.0000
4.4590 7.7231 0.0000
0.0000 0.0000 12.5341
```

=====

# 10
! Mg6MnAl PBE optimized geometry; values from VASP
! Energy relative to the lowest polymorph listed for this composition, eV/atom: 0.000
&SYSTEM
  ibrav = 0, nat = 16, ntyp = 3
/
ATOMIC_SPECIES
Mg 24.30 Mg.upf
Al 26.98 Al.upf
Mn 54.94 Mn.upf
ATOMIC_POSITIONS crystal
Mg 0.5000 0.5000 0.6665
Mg 0.0000 0.0000 0.3326
Mg 0.5000 0.0000 0.1665
Mg 0.5000 0.7543 0.9150
Mg 0.0000 0.2578 0.0868
Mg 0.0000 0.5000 0.8326
Mg 0.0000 0.2422 0.5868
Mg 0.0000 0.7578 0.5868
Mg 0.5000 0.7457 0.4150
Mg 0.5000 0.2543 0.4150
Mg 0.5000 0.2457 0.9150
Mg 0.0000 0.7422 0.0868
Al 0.0000 0.5000 0.3228
Al 0.0000 0.0000 0.8228
Mn 0.5000 0.5000 0.1745
Mn 0.5000 0.0000 0.6745
CELL_PARAMETERS angstrom
4.8730 0.0000 0.0000
0.0000 6.2436 0.0000
0.0000 0.0000 10.7404

=====

# 11
PaB3: optimized geometry, PBE. Values from VASP.

Quantum ESPRESSO input file:
```
&SYSTEM
  ibrav = 0, nat = 8, ntyp = 2
/
ATOMIC_SPECIES
B 10.81 B.upf
Pa 231.04 Pa.upf
ATOMIC_POSITIONS crystal
B 0.2252 0.1126 0.7500
B 0.8874 0.1126 0.7500
B 0.8874 0.7748 0.7500
B 0.7748 0.8874 0.2500
B 0.1126 0.8874 0.2500
B 0.1126 0.2252 0.2500
Pa 0.6667 0.3333 0.2500
Pa 0.3333 0.6667 0.7500
CELL_PARAMETERS angstrom
-2.9075 2.5224 3.8618
2.3747 -4.7907 1.0677
2.8314 1.6399 1.0606
```

=====

# 12
TaFeSi: optimized geometry, PBE. Values from VASP.

Quantum ESPRESSO input file:
```
&SYSTEM
  ibrav = 0, nat = 12, ntyp = 3
/
ATOMIC_SPECIES
Ta 180.95 Ta.upf
Si 28.09 Si.upf
Fe 55.84 Fe.upf
ATOMIC_POSITIONS crystal
Ta 0.4842 0.7500 0.8128
Ta 0.5158 0.2500 0.1872
Ta 0.0158 0.2500 0.3128
Ta 0.9842 0.7500 0.6872
Si 0.7779 0.2500 0.8848
Si 0.7221 0.7500 0.3848
Si 0.2221 0.7500 0.1152
Si 0.2779 0.2500 0.6152
Fe 0.1488 0.2500 0.9354
Fe 0.3512 0.7500 0.4354
Fe 0.6488 0.2500 0.5646
Fe 0.8512 0.7500 0.0646
CELL_PARAMETERS angstrom
-5.3183 1.4352 2.7913
-1.9000 -1.4505 -2.8742
-0.0231 -6.2281 3.1583
```

=====

# 13
CeAlCu: optimized geometry, PBE. Values from VASP.

Quantum ESPRESSO input file:
```
&SYSTEM
  ibrav = 0, nat = 9, ntyp = 3
/
ATOMIC_SPECIES
Al 26.98 Al.upf
Cu 63.55 Cu.upf
Ce 140.12 Ce.upf
ATOMIC_POSITIONS crystal
Al 0.2299 0.0000 0.0000
Al 0.0000 0.2299 0.0000
Al 0.7701 0.7701 0.0000
Cu 0.6667 0.3333 0.0000
Cu 0.0000 0.0000 0.5000
Cu 0.3333 0.6667 0.0000
Ce 0.4197 0.4197 0.5000
Ce 0.0000 0.5803 0.5000
Ce 0.5803 0.0000 0.5000
CELL_PARAMETERS angstrom
3.5355 -6.1237 0.0000
3.5355 6.1237 0.0000
0.0000 0.0000 4.1252
```

=====

# 14
Lu5Ni19B6: optimized geometry, PBE. Values from VASP.

Quantum ESPRESSO input file:
```
&SYSTEM
  ibrav = 0, nat = 30, ntyp = 3
/
ATOMIC_SPECIES
B 10.81 B.upf
Ni 58.69 Ni.upf
Lu 174.97 Lu.upf
ATOMIC_POSITIONS crystal
B 0.6667 0.3333 0.5000
B 0.3333 0.6667 0.9093
B 0.3333 0.6667 0.5000
B 0.3333 0.6667 0.0907
B 0.6667 0.3333 0.9093
B 0.6667 0.3333 0.0907
Ni 0.5000 0.0000 0.1768
Ni 0.5000 0.5000 0.0000
Ni 0.0000 0.5000 0.0000
Ni 0.3333 0.6667 0.7046
Ni 0.0000 0.5000 0.5853
Ni 0.5000 0.5000 0.8232
Ni 0.5000 0.0000 0.5853
Ni 0.0000 0.5000 0.4147
Ni 0.3333 0.6667 0.2954
Ni 0.6667 0.3333 0.7046
Ni 0.5000 0.0000 0.4147
Ni 0.5000 0.5000 0.4147
Ni 0.5000 0.0000 0.8232
Ni 0.0000 0.5000 0.8232
Ni 0.5000 0.5000 0.1768
Ni 0.5000 0.5000 0.5853
Ni 0.5000 0.0000 0.0000
Ni 0.6667 0.3333 0.2954
Ni 0.0000 0.5000 0.1768
Lu 0.0000 0.0000 0.2980
Lu 0.0000 0.0000 0.5000
Lu 0.0000 0.0000 0.7020
Lu 0.0000 0.0000 0.9037
Lu 0.0000 0.0000 0.0963
CELL_PARAMETERS angstrom
2.4580 -4.2574 0.0000
2.4580 4.2574 0.0000
0.0000 0.0000 16.9711
```

=====

# 15
TmCo2Si2: optimized geometry, PBE. Values from VASP.

Quantum ESPRESSO input file:
```
&SYSTEM
  ibrav = 0, nat = 5, ntyp = 3
/
ATOMIC_SPECIES
Si 28.09 Si.upf
Co 58.93 Co.upf
Tm 168.93 Tm.upf
ATOMIC_POSITIONS crystal
Si 0.6269 0.6269 0.2538
Si 0.3731 0.3731 0.7462
Co 0.7500 0.2500 0.5000
Co 0.2500 0.7500 0.5000
Tm 0.0000 0.0000 0.0000
CELL_PARAMETERS angstrom
3.8543 0.0000 0.0000
0.0000 3.8543 0.0000
-1.9271 -1.9271 4.8441
```

=====

What did we get for final energy? Answer: -46.8; -99.6; -9.3; -29.7; -71.6; -151.5; -50.3; -19.6; -558.2; -43.6; -60.7; -110.4; -44.2; -187.7; -33.7 eV/cell, in the order shown.
What did we get for DFT formation energy? Answer: -0.32; -0.14; 0.04; -0.31; 0.12; -1.54; -0.60; -0.48; -2.42; 0.09; -0.20; -0.59; -0.32; -0.51; -0.80 eV/atom, in the order shown.